A plane-wave DFT calculation with PBE was carried out for crystalline LiMg at its relaxed geometry.

Values from the calculation:
Symmetry: R-3m, No. 166

abc: 5.279 5.279 5.279
angles: 34.49 34.49 34.49
Fractional coordinates of all 2 atoms:
Mg 0.500 0.500 0.500
Li 0.000 0.000 0.000

=====

A plane-wave DFT calculation with PBE was carried out for crystalline Li3Mg at its relaxed geometry.

Values from the calculation:
Symmetry: P6_3/mmc, No. 194

abc: 6.127 6.127 4.916
angles: 90.00 90.00 120.00
Fractional coordinates of all 8 atoms:
Li 0.836 0.164 0.250
Mg 0.667 0.333 0.750
Li 0.164 0.328 0.750
Li 0.672 0.836 0.750
Li 0.836 0.672 0.250
Mg 0.333 0.667 0.250
Li 0.328 0.164 0.250
Li 0.164 0.836 0.750

=====

A plane-wave DFT calculation with PBE was carried out for crystalline Li3Mg at its relaxed geometry.

Values from the calculation:
Symmetry: Pm-3m, No. 221

abc: 4.316 4.316 4.316
angles: 90.00 90.00 90.00
Fractional coordinates of all 4 atoms:
Li 0.500 0.000 0.500
Mg 0.000 0.000 0.000
Li 0.500 0.500 0.000
Li 0.000 0.500 0.500

=====

Number 1: VASP energy -1.775 eV per atom. Number 2: VASP energy -1.860 eV per atom. Number 3: VASP energy -1.861 eV per atom.